Rb3CoCl5 | r²SCAN | relaxed

Structure (extended XYZ):
```
18
Lattice="-4.407 4.407 7.074 4.407 -4.407 7.074 4.407 4.407 -7.074" Properties=species:S:1:pos:R:3 pbc="T T T"
Rb 5.842 1.435 0.000
Rb 0.000 0.000 3.537
Rb 1.435 2.972 0.000
Rb 2.972 1.435 7.074
Rb 0.000 0.000 10.611
Rb -1.435 2.972 7.074
Co 4.407 0.000 3.537
Co 0.000 4.407 3.537
Cl 0.000 0.000 0.000
Cl 5.669 -1.262 2.169
Cl 3.145 -1.262 4.905
Cl 3.145 1.262 2.169
Cl 5.669 1.262 4.905
Cl 0.000 0.000 7.074
Cl -1.262 3.145 2.169
Cl 1.262 3.145 4.905
Cl 1.262 5.669 2.169
Cl -1.262 5.669 4.905
```

**Symmetry**: I4/mcm
**Formation enthalpy at 0 K**: -1.800 eV/atom